1.
An optimized crystal structure of LaMo8O14, computed with GGA+U.

Calculated values
ΔE_f: -180.0 kJ/mol of atoms
excess energy over the best structure of this formula in the dataset: 0.0000 eV/atom

Cell: 9.445 12.491 21.671 Å, 90.00 90.00 90.00°
Atoms (fractional coordinates):
O1 0.988 0.767 0.508
O2 0.279 0.007 0.569
Mo1 0.637 0.488 0.089
O3 0.774 0.624 0.537
O4 0.746 0.613 0.290
O5 0.477 0.626 0.616
Mo2 0.860 0.384 0.703
Mo3 0.145 0.367 0.288
O6 0.752 0.871 0.290
O7 0.726 0.124 0.537
O8 0.531 0.876 0.132
Mo4 0.855 0.633 0.712
O9 0.000 0.737 0.750
O10 0.746 0.387 0.790
O11 0.276 0.512 0.822
O12 0.724 0.512 0.678
O13 0.977 0.874 0.384
Mo5 0.639 0.373 0.460
O14 0.009 0.615 0.130
O15 0.488 0.267 0.992
O16 0.748 0.114 0.042
Mo6 0.863 0.988 0.089
O17 0.745 0.257 0.664
O18 0.991 0.615 0.370
O19 0.226 0.376 0.463
O20 0.226 0.624 0.963
O21 0.751 0.256 0.415
Mo7 0.868 0.253 0.833
O22 0.249 0.744 0.585
Mo8 0.140 0.384 0.797
O23 0.224 0.012 0.822
Mo9 0.863 0.012 0.589
O24 0.523 0.374 0.384
O25 0.969 0.624 0.632
O26 0.274 0.124 0.963
O27 0.491 0.115 0.130
O28 0.987 0.121 0.119
Mo10 0.137 0.988 0.411
O29 0.500 0.237 0.750
O30 0.500 0.225 0.250
O31 0.721 0.007 0.931
O32 0.509 0.115 0.370
Mo11 0.139 0.873 0.040
Mo12 0.860 0.616 0.203
O33 0.255 0.743 0.336
Mo13 0.145 0.633 0.788
Mo14 0.632 0.753 0.833
Mo15 0.865 0.488 0.339
O34 0.013 0.121 0.381
O35 0.755 0.757 0.664
O36 0.276 0.488 0.322
La1 0.000 0.500 0.500
O37 0.487 0.621 0.381
Mo16 0.855 0.367 0.212
Mo17 0.861 0.249 0.085
O38 0.274 0.876 0.463
Mo18 0.139 0.751 0.915
Mo19 0.135 0.512 0.661
O39 0.991 0.385 0.870
O40 0.752 0.614 0.042
Mo20 0.146 0.871 0.545
O41 0.023 0.874 0.116
Mo21 0.635 0.012 0.839
O42 0.009 0.385 0.630
Mo22 0.635 0.988 0.339
O43 0.491 0.885 0.630
Mo23 0.361 0.251 0.915
O44 0.988 0.233 0.008
O45 0.748 0.886 0.542
Mo24 0.861 0.127 0.960
O46 0.252 0.371 0.210
O47 0.031 0.376 0.368
Mo25 0.360 0.116 0.297
O48 0.248 0.871 0.210
O49 0.249 0.256 0.085
O50 0.749 0.244 0.915
O51 0.000 0.263 0.250
Mo26 0.146 0.129 0.045
O52 0.779 0.507 0.931
O53 0.013 0.879 0.881
O54 0.776 0.988 0.178
Mo27 0.868 0.747 0.333
O55 0.776 0.012 0.678
Mo28 0.865 0.512 0.839
O56 0.279 0.993 0.069
O57 0.748 0.371 0.290
Mo29 0.639 0.749 0.085
O58 0.251 0.244 0.585
La2 0.000 0.500 0.000
O59 0.987 0.879 0.619
O60 0.721 0.993 0.431
La3 0.500 0.582 0.250
O61 0.252 0.886 0.958
O62 0.488 0.733 0.492
Mo30 0.646 0.629 0.455
Mo31 0.132 0.253 0.667
O63 0.977 0.126 0.884
O64 0.509 0.885 0.870
O65 0.245 0.757 0.836
Mo32 0.637 0.512 0.589
O66 0.513 0.379 0.619
O67 0.251 0.756 0.085
Mo33 0.355 0.133 0.788
Mo34 0.861 0.751 0.585
La4 0.500 0.000 0.000
Mo35 0.137 0.012 0.911
O68 0.254 0.613 0.210
O69 0.755 0.243 0.164
Mo36 0.365 0.012 0.661
O70 0.774 0.376 0.037
O71 0.487 0.379 0.881
O72 0.752 0.129 0.790
O73 0.221 0.507 0.569
O74 0.000 0.275 0.750
Mo37 0.645 0.867 0.212
O75 0.245 0.243 0.336
Mo38 0.861 0.873 0.460
O76 0.012 0.767 0.992
O77 0.754 0.887 0.790
O78 0.531 0.124 0.632
La5 0.500 0.418 0.750
Mo39 0.646 0.371 0.955
O79 0.754 0.113 0.290
Mo40 0.361 0.627 0.540
Mo41 0.355 0.867 0.288
O80 0.224 0.988 0.322
O81 0.779 0.493 0.431
Mo42 0.368 0.247 0.167
Mo43 0.361 0.749 0.415
O82 0.248 0.129 0.710
O83 0.246 0.113 0.210
O84 0.523 0.626 0.884
Mo44 0.132 0.747 0.167
O85 0.221 0.493 0.069
Mo45 0.632 0.247 0.333
O86 0.724 0.488 0.178
Mo46 0.363 0.512 0.911
Mo47 0.140 0.616 0.297
La6 0.000 0.918 0.750
O87 0.726 0.876 0.037
Mo48 0.640 0.884 0.703
Mo49 0.135 0.488 0.161
O88 0.248 0.614 0.458
O89 0.000 0.725 0.250
La7 0.500 0.000 0.500
O90 0.254 0.387 0.710
O91 0.246 0.887 0.710
O92 0.500 0.775 0.750
O93 0.513 0.621 0.119
Mo50 0.639 0.627 0.960
Mo51 0.645 0.133 0.712
O94 0.012 0.233 0.492
O95 0.248 0.386 0.958
Mo52 0.368 0.753 0.667
O96 0.500 0.763 0.250
Mo53 0.354 0.371 0.545
Mo54 0.365 0.988 0.161
Mo55 0.139 0.127 0.540
La8 0.000 0.082 0.250
Mo56 0.363 0.488 0.411
O97 0.252 0.114 0.458
O98 0.252 0.629 0.710
Mo57 0.854 0.129 0.455
Mo58 0.640 0.116 0.203
O99 0.751 0.744 0.915
Mo59 0.639 0.251 0.585
Mo60 0.354 0.629 0.045
O100 0.512 0.267 0.508
Mo61 0.854 0.871 0.955
O101 0.512 0.733 0.008
O102 0.969 0.376 0.132
O103 0.469 0.876 0.368
O104 0.749 0.756 0.415
O105 0.255 0.257 0.836
O106 0.469 0.124 0.868
O107 0.477 0.374 0.116
Mo62 0.361 0.373 0.040
Mo63 0.139 0.249 0.415
O108 0.745 0.743 0.164
Mo64 0.360 0.884 0.797
O109 0.752 0.386 0.542
O110 0.031 0.624 0.868
O111 0.023 0.126 0.616
O112 0.748 0.629 0.790



2.
An optimized crystal structure of La5Mo4O16, computed with GGA+U.

Calculated values
ΔE_f: -284.0 kJ/mol of atoms

Cell: 5.720 5.724 10.567 Å, 93.49 94.06 90.16°
Atoms (fractional coordinates):
O1 0.080 0.089 0.175
O2 0.782 0.788 0.326
O3 0.218 0.212 0.674
O4 0.694 0.182 0.003
Mo1 0.000 0.000 0.000
Mo2 0.558 0.559 0.395
O5 0.448 0.450 0.196
O6 0.186 0.289 0.950
O7 0.700 0.222 0.640
La1 0.033 0.514 0.216
O8 0.692 0.689 0.565
La2 0.518 0.029 0.204
O9 0.552 0.550 0.804
La3 0.482 0.971 0.796
O10 0.778 0.302 0.361
O11 0.308 0.311 0.435
O12 0.306 0.818 0.997
Mo3 0.442 0.441 0.605
Mo4 0.500 0.500 0.000
La4 0.967 0.486 0.784
O13 0.300 0.778 0.360
O14 0.222 0.698 0.639
La5 0.000 0.000 0.500
O15 0.920 0.911 0.825
O16 0.814 0.711 0.050



3.
An optimized crystal structure of La2MoO6, computed with GGA+U.

Calculated values
ΔE_f: -306.6 kJ/mol of atoms

Cell: 16.714 16.714 16.714 Å, 159.90 159.90 28.58°
Atoms (fractional coordinates):
O1 0.204 0.206 0.338
La1 0.087 0.587 0.500
O2 0.704 0.366 0.998
O3 0.956 0.118 0.502
La2 0.663 0.663 0.000
La3 0.413 0.913 0.500
O4 0.794 0.132 0.998
La4 0.337 0.337 0.000
O5 0.381 0.375 0.506
O6 0.625 0.131 0.006
O7 0.869 0.875 0.494
O8 0.134 0.796 0.002
Mo1 0.750 0.250 0.500
O9 0.125 0.119 0.494
O10 0.881 0.375 0.006
O11 0.546 0.044 0.162
O12 0.116 0.618 0.162
O13 0.456 0.954 0.838
O14 0.868 0.866 0.662
O15 0.125 0.619 0.994
O16 0.369 0.875 0.994
O17 0.046 0.884 0.502
Mo2 0.000 0.000 0.000
O18 0.616 0.454 0.498
La5 0.837 0.837 0.000
Mo3 0.250 0.750 0.500
O19 0.382 0.544 0.498
O20 0.634 0.632 0.338
Mo4 0.500 0.500 0.000
O21 0.294 0.296 0.662
O22 0.625 0.631 0.506
La6 0.163 0.163 0.000
La7 0.913 0.413 0.500
O23 0.368 0.706 0.002
La8 0.587 0.087 0.500
O24 0.882 0.384 0.838



4.
An optimized crystal structure of La2MoO6, computed with GGA+U.

Calculated values
ΔE_f: -300.8 kJ/mol of atoms
maximum piezoelectric response: 1.02 C/m2

Cell: 8.707 8.707 8.707 Å, 151.29 151.29 41.05°
Atoms (fractional coordinates):
O1 0.300 0.834 0.000
O2 0.166 0.166 0.466
O3 0.250 0.750 0.500
La1 0.320 0.320 0.000
O4 0.750 0.250 0.500
O5 0.700 0.700 0.534
Mo1 0.000 0.000 0.000
La2 0.680 0.680 0.000
O6 0.834 0.300 0.000



5.
An optimized crystal structure of La2MoO6, computed with GGA+U.

Calculated values
ΔE_f: -293.0 kJ/mol of atoms

Cell: 5.567 5.567 5.567 Å, 64.22 64.22 64.22°
Atoms (fractional coordinates):
O1 0.202 0.670 0.877
O2 0.330 0.123 0.798
La1 0.746 0.746 0.746
O3 0.670 0.877 0.202
La2 0.254 0.254 0.254
O4 0.798 0.330 0.123
O5 0.123 0.798 0.330
O6 0.877 0.202 0.670
Mo1 0.000 0.000 0.000



6.
An optimized crystal structure of La4Mo9O36, computed with GGA+U.

Calculated values
ΔE_f: -212.9 kJ/mol of atoms

Cell: 12.895 12.895 12.895 Å, 109.47 109.47 109.47°
Atoms (fractional coordinates):
O1 0.025 0.378 0.655
Mo1 0.375 0.625 0.750
O2 0.854 0.991 0.337
O3 0.654 0.663 0.017
O4 0.391 0.513 0.799
Mo2 0.750 0.053 0.303
O5 0.509 0.363 0.346
La1 0.462 0.500 0.000
O6 0.837 0.491 0.354
O7 0.277 0.122 0.147
O8 0.009 0.846 0.863
O9 0.155 0.878 0.525
O10 0.631 0.975 0.853
Mo3 0.125 0.875 0.250
O11 0.353 0.475 0.131
O12 0.723 0.345 0.869
Mo4 0.625 0.750 0.375
O13 0.987 0.378 0.285
O14 0.846 0.863 0.009
O15 0.777 0.647 0.622
La2 0.500 0.000 0.962
O16 0.891 0.299 0.013
O17 0.622 0.408 0.609
O18 0.337 0.854 0.991
La3 0.962 0.500 0.000
O19 0.863 0.009 0.846
O20 0.378 0.655 0.025
La4 0.000 0.962 0.500
O21 0.715 0.201 0.092
O22 0.131 0.353 0.475
O23 0.215 0.592 0.701
O24 0.908 0.122 0.109
O25 0.799 0.391 0.513
O26 0.285 0.987 0.378
O27 0.663 0.017 0.654
O28 0.701 0.215 0.592
Mo5 0.697 0.947 0.750
O29 0.092 0.715 0.201
O30 0.637 0.483 0.146
O31 0.354 0.837 0.491
O32 0.609 0.622 0.408
La5 0.500 0.000 0.462
Mo6 0.947 0.750 0.697
Mo7 0.875 0.250 0.125
O33 0.991 0.337 0.854
O34 0.983 0.137 0.646
La6 0.538 0.538 0.538
O35 0.513 0.799 0.391
O36 0.017 0.654 0.663
O37 0.483 0.146 0.637
O38 0.122 0.109 0.908
O39 0.655 0.025 0.378
O40 0.201 0.092 0.715
O41 0.369 0.845 0.223
O42 0.013 0.891 0.299
O43 0.845 0.223 0.369
Mo8 0.447 0.197 0.250
O44 0.223 0.369 0.845
O45 0.975 0.853 0.631
O46 0.878 0.487 0.785
O47 0.878 0.525 0.155
O48 0.122 0.147 0.277
O49 0.163 0.154 0.517
La7 0.038 0.038 0.038
Mo9 0.250 0.125 0.875
O50 0.346 0.509 0.363
O51 0.378 0.285 0.987
Mo10 0.803 0.553 0.250
O52 0.491 0.354 0.837
O53 0.147 0.277 0.122
Mo11 0.553 0.250 0.803
Mo12 0.197 0.250 0.447
O54 0.517 0.163 0.154
O55 0.363 0.346 0.509
Mo13 0.250 0.447 0.197
Mo14 0.750 0.697 0.947
O56 0.647 0.622 0.777
O57 0.299 0.013 0.891
O58 0.408 0.609 0.622
O59 0.109 0.908 0.122
O60 0.137 0.646 0.983
Mo15 0.750 0.375 0.625
O61 0.853 0.631 0.975
Mo16 0.303 0.750 0.053
O62 0.146 0.637 0.483
La8 0.000 0.462 0.500
O63 0.345 0.869 0.723
O64 0.646 0.983 0.137
O65 0.622 0.777 0.647
O66 0.487 0.785 0.878
O67 0.154 0.517 0.163
Mo17 0.053 0.303 0.750
O68 0.475 0.131 0.353
O69 0.869 0.723 0.345
O70 0.592 0.701 0.215
Mo18 0.250 0.803 0.553
O71 0.785 0.878 0.487
O72 0.525 0.155 0.878



Per-record total magnetization, μB per cell: 168.00; 7.01; 0.00; 0.00; 0.00; 12.09